(1)
## Hf2N2O (r2SCAN)

Data for a geometry-optimized Hf2N2O structure.

abc: 8.6675 8.6678 8.6736
angles: 109.45 109.44 109.45
With the nearest neighbours (Å) after each atom.
Space group P1 (No. 1)
Inequivalent atoms, fractional coordinates:
Hf 0.0000 0.0000 0.0000 x1  3 N 2.07-2.19, 3 O 2.09-2.19
Hf 0.0022 0.4988 0.4996 x1  5 N 2.10-2.23, 1 O 2.30
Hf 0.0460 0.7509 0.2189 x1  5 N 2.13-2.25, 1 O 2.22
Hf 0.2239 0.9697 0.6751 x1  3 N 2.08-2.14, 3 O 2.13-2.22
Hf 0.2484 0.7064 0.9662 x1  4 N 2.08-2.16, 2 O 2.19-2.25
Hf 0.2674 0.2320 0.4870 x1  4 N 2.06-2.18, 2 O 2.23-2.26
Hf 0.2857 0.4668 0.2503 x1  4 N 2.08-2.16, 2 O 2.28-2.29
Hf 0.4759 0.6816 0.7270 x1  4 N 2.09-2.22, 2 O 2.17-2.19
Hf 0.5059 0.9304 0.4320 x1  3 O 2.10-2.14, 3 N 2.10-2.19
Hf 0.5111 0.4402 0.9389 x1  5 N 2.11-2.21, 1 O 2.29
Hf 0.5498 0.2647 0.2301 x1  3 N 2.06-2.16, 3 O 2.13-2.21
Hf 0.7220 0.9683 0.1856 x1  4 N 2.11-2.25, 2 O 2.12-2.23
Hf 0.7577 0.7120 0.4599 x1  4 N 2.09-2.19, 2 O 2.22-2.23
Hf 0.7688 0.2234 0.9799 x1  4 N 2.11-2.17, 2 O 2.20-2.22
Hf 0.7975 0.4775 0.7622 x1  5 N 2.12-2.21, 1 O 2.21
Hf 0.9767 0.1881 0.7183 x1  4 N 2.08-2.16, 2 O 2.24-2.25
N 0.0220 0.7577 0.9603 x1  4 Hf 2.10-2.20
N 0.0308 0.4465 0.7323 x1  4 Hf 2.08-2.21
N 0.0321 0.2627 0.0027 x1  4 Hf 2.08-2.19
N 0.2146 0.4497 0.4586 x1  4 Hf 2.13-2.22
N 0.2240 0.2258 0.7098 x1  4 Hf 2.09-2.18
N 0.2523 0.6768 0.2003 x1  4 Hf 2.09-2.15
N 0.3094 0.9970 0.4838 x1  4 Hf 2.08-2.25
N 0.4952 0.6879 0.9830 x1  4 Hf 2.11-2.16
N 0.5170 0.4878 0.1990 x1  4 Hf 2.12-2.16
N 0.5307 0.4594 0.6976 x1  4 Hf 2.06-2.21
N 0.7253 0.9442 0.9204 x1  4 Hf 2.07-2.25
N 0.7416 0.4802 0.5044 x1  4 Hf 2.06-2.23
N 0.7692 0.9597 0.4369 x1  4 Hf 2.11-2.19
N 0.7922 0.4890 0.0177 x1  4 Hf 2.13-2.20
N 0.7969 0.2502 0.2403 x1  4 Hf 2.10-2.16
N 0.9877 0.7127 0.4302 x1  4 Hf 2.09-2.16
O 0.2722 0.7719 0.7494 x1  4 Hf 2.14-2.30
O 0.2905 0.1995 0.2313 x1  4 Hf 2.13-2.28
O 0.4830 0.1661 0.9338 x1  4 Hf 2.13-2.29
O 0.4827 0.9943 0.2100 x1  4 Hf 2.14-2.25
O 0.5336 0.7378 0.5201 x1  4 Hf 2.10-2.29
O 0.7100 0.1828 0.6984 x1  4 Hf 2.14-2.24
O 0.9862 0.9846 0.2423 x1  4 Hf 2.12-2.26
O 0.9953 0.9438 0.7436 x1  4 Hf 2.09-2.25

Computed properties:
crystal system = triclinic
formation enthalpy at 0 K = -2569 meV per atom
V = 12.6 Å³ per atom
VASP energy = -25.4760 eV per atom

(2)
## Hf2N2O (r2SCAN)

Data for a geometry-optimized Hf2N2O structure.

abc: 8.6480 8.6750 8.6814
angles: 109.55 109.52 109.23
With the nearest neighbours (Å) after each atom.
Space group P1 (No. 1)
Inequivalent atoms, fractional coordinates:
Hf 0.0000 0.0000 0.0000 x1  4 N 2.11-2.24, 2 O 2.11-2.24
Hf 0.9999 0.4923 0.5060 x1  4 N 2.06-2.15, 2 O 2.18-2.27
Hf 0.0401 0.7944 0.3196 x1  4 N 2.08-2.22, 2 O 2.18-2.26
Hf 0.2168 0.7498 0.0417 x1  4 N 2.13-2.18, 2 O 2.14
Hf 0.2504 0.5387 0.2881 x1  4 N 2.13-2.17, 2 O 2.14-2.17
Hf 0.2574 0.0472 0.7849 x1  4 N 2.08-2.15, 2 O 2.24
Hf 0.2832 0.3192 0.5267 x1  5 N 2.12-2.19, 1 O 2.24
Hf 0.4671 0.2862 0.2552 x1  4 N 2.10-2.24, 2 O 2.14-2.15
Hf 0.4981 0.0761 0.5749 x1  5 N 2.12-2.25, 1 O 2.17
Hf 0.5046 0.5703 0.0733 x1  3 N 2.07-2.12, 3 O 2.08-2.27
Hf 0.5299 0.7823 0.8091 x1  3 N 2.05-2.09, 3 O 2.18-2.27
Hf 0.7070 0.2492 0.0304 x1  4 N 2.10-2.20, 2 O 2.20-2.23
Hf 0.7601 0.5364 0.7856 x1  5 N 2.09-2.21, 1 O 2.27
Hf 0.7614 0.0441 0.2961 x1  3 N 2.06-2.17, 3 O 2.14-2.24
Hf 0.7957 0.8302 0.5466 x1  3 N 2.10-2.21, 3 O 2.12-2.20
Hf 0.9768 0.2958 0.7633 x1  5 N 2.08-2.23, 1 O 2.31
N 0.0213 0.2590 0.5241 x1  4 Hf 2.06-2.18
N 0.0235 0.0772 0.7953 x1  4 Hf 2.10-2.15
N 0.2020 0.2625 0.2462 x1  4 Hf 2.11-2.21
N 0.2246 0.4964 0.0180 x1  4 Hf 2.08-2.17
N 0.2384 0.0704 0.5497 x1  4 Hf 2.08-2.16
N 0.2844 0.5804 0.5585 x1  4 Hf 2.05-2.19
N 0.3033 0.8105 0.3251 x1  4 Hf 2.12-2.22
N 0.4816 0.9943 0.7831 x1  4 Hf 2.08-2.18
N 0.4879 0.3118 0.0133 x1  4 Hf 2.07-2.24
N 0.5253 0.3014 0.5163 x1  4 Hf 2.10-2.18
N 0.7172 0.2717 0.2946 x1  4 Hf 2.13-2.20
N 0.7316 0.7618 0.7355 x1  4 Hf 2.09-2.24
N 0.7697 0.3134 0.8384 x1  4 Hf 2.10-2.25
N 0.7816 0.7968 0.2780 x1  4 Hf 2.12-2.21
N 0.9826 0.7797 0.0614 x1  4 Hf 2.08-2.18
N 0.9934 0.5544 0.7534 x1  4 Hf 2.06-2.23
O 0.0121 0.7616 0.5580 x1  4 Hf 2.12-2.26
O 0.2682 0.0028 0.0278 x1  4 Hf 2.14-2.24
O 0.4794 0.8133 0.0446 x1  4 Hf 2.14-2.27
O 0.5126 0.5293 0.8263 x1  4 Hf 2.08-2.27
O 0.5245 0.5699 0.3349 x1  4 Hf 2.15-2.22
O 0.7042 0.0240 0.5120 x1  4 Hf 2.14-2.31
O 0.7981 0.0441 0.0639 x1  4 Hf 2.11-2.27
O 0.9810 0.5066 0.2447 x1  4 Hf 2.14-2.27

Computed properties:
crystal system = triclinic
formation enthalpy at 0 K = -2567 meV per atom
V = 12.6 Å³ per atom
VASP energy = -25.4735 eV per atom

(3)
## Hf2N2O (r2SCAN)

Data for a geometry-optimized Hf2N2O structure.

abc: 8.6629 8.6657 8.6786
angles: 109.58 109.29 109.43
With the nearest neighbours (Å) after each atom.
Space group P1 (No. 1)
Inequivalent atoms, fractional coordinates:
Hf 0.0000 0.0000 0.0000 x1  4 N 2.07-2.24, 2 O 2.19-2.26
Hf 0.0096 0.4984 0.5031 x1  4 N 2.07-2.14, 1 O 2.26
Hf 0.0453 0.2288 0.7657 x1  5 N 2.10-2.25, 1 O 2.20
Hf 0.2182 0.6830 0.9710 x1  2 O 2.09-2.25, 4 N 2.12-2.22
Hf 0.2453 0.4600 0.2162 x1  3 N 2.05-2.15, 3 O 2.12-2.25
Hf 0.2570 0.9799 0.7234 x1  5 N 2.09-2.20, 1 O 2.27
Hf 0.3031 0.2668 0.4906 x1  4 N 2.06-2.15, 2 O 2.20-2.28
Hf 0.4722 0.7203 0.6872 x1  4 N 2.13-2.17, 2 O 2.14-2.16
Hf 0.5002 0.4367 0.9411 x1  5 N 2.08-2.23, 1 O 2.29
Hf 0.5064 0.9433 0.4413 x1  3 N 2.06-2.21, 3 O 2.11-2.28
Hf 0.5427 0.2114 0.2524 x1  4 N 2.09-2.21, 2 O 2.20-2.24
Hf 0.7167 0.1772 0.9722 x1  5 N 2.12-2.23, 1 O 2.17
Hf 0.7463 0.9660 0.2131 x1  4 N 2.09-2.16, 2 O 2.23-2.26
Hf 0.7591 0.4724 0.7270 x1  4 N 2.14-2.18, 2 O 2.15-2.16
Hf 0.8000 0.7556 0.4755 x1  3 O 2.07-2.22, 3 N 2.10-2.16
Hf 0.9644 0.7222 0.1922 x1  3 N 2.09-2.19, 3 O 2.13-2.21
N 0.0127 0.9564 0.7559 x1  4 Hf 2.07-2.25
N 0.0305 0.7273 0.4506 x1  4 Hf 2.10-2.20
N 0.2166 0.4634 0.4535 x1  4 Hf 2.07-2.17
N 0.2401 0.1951 0.6739 x1  4 Hf 2.06-2.23
N 0.3014 0.4834 0.0015 x1  4 Hf 2.08-2.17
N 0.4807 0.2106 0.9976 x1  4 Hf 2.09-2.23
N 0.4819 0.9319 0.1750 x1  4 Hf 2.10-2.21
N 0.4934 0.9768 0.6873 x1  4 Hf 2.10-2.18
N 0.5198 0.1992 0.4953 x1  4 Hf 2.06-2.21
N 0.5345 0.5187 0.7396 x1  4 Hf 2.13-2.16
N 0.7170 0.7020 0.1931 x1  4 Hf 2.09-2.16
N 0.7236 0.9236 0.9537 x1  4 Hf 2.09-2.17
N 0.7991 0.2427 0.2619 x1  4 Hf 2.07-2.18
N 0.9808 0.4227 0.7061 x1  4 Hf 2.10-2.22
N 0.9844 0.2498 0.9918 x1  4 Hf 2.05-2.24
N 0.9978 0.7425 0.9592 x1  4 Hf 2.12-2.19
O 0.0325 0.0074 0.2724 x1  4 Hf 2.13-2.26
O 0.2258 0.7093 0.2412 x1  4 Hf 2.15-2.25
O 0.2725 0.7433 0.7740 x1  4 Hf 2.09-2.27
O 0.2876 0.2316 0.2128 x1  4 Hf 2.12-2.28
O 0.5313 0.6951 0.4595 x1  4 Hf 2.15-2.28
O 0.7397 0.5096 0.4888 x1  3 Hf 2.07-2.24
O 0.7707 0.4364 0.9637 x1  4 Hf 2.15-2.29
O 0.7837 0.0116 0.4977 x1  4 Hf 2.11-2.26

Computed properties:
crystal system = triclinic
formation enthalpy at 0 K = -2567 meV per atom
V = 12.6 Å³ per atom
VASP energy = -25.4733 eV per atom

(4)
## Hf2N2O (r2SCAN)

Data for a geometry-optimized Hf2N2O structure.

abc: 8.6537 8.6658 8.6822
angles: 109.43 109.40 109.45
With the nearest neighbours (Å) after each atom.
Space group P1 (No. 1)
Inequivalent atoms, fractional coordinates:
Hf 0.0000 0.0000 0.0000 x1  4 N 2.11-2.21, 2 O 2.13-2.22
Hf 0.0083 0.5003 0.5111 x1  4 N 2.08-2.16, 2 O 2.24-2.25
Hf 0.0348 0.3197 0.7865 x1  4 N 2.11-2.21, 2 O 2.12-2.18
Hf 0.2082 0.0260 0.7490 x1  5 N 2.11-2.25, 1 O 2.23
Hf 0.2380 0.7768 0.0262 x1  5 N 2.09-2.19, 1 O 2.30
Hf 0.2476 0.2854 0.5371 x1  2 O 2.13-2.17, 4 N 2.14-2.18
Hf 0.2936 0.5396 0.3226 x1  3 N 2.08-2.19, 3 O 2.11-2.19
Hf 0.4661 0.2543 0.2869 x1  3 N 2.07-2.15, 3 O 2.10-2.25
Hf 0.4874 0.0722 0.5682 x1  3 N 2.05-2.17, 3 O 2.12-2.24
Hf 0.5027 0.5753 0.0768 x1  5 N 2.12-2.24, 1 O 2.17
Hf 0.5314 0.8240 0.7953 x1  4 N 2.05-2.23, 1 O 2.17
Hf 0.7194 0.0293 0.2479 x1  4 N 2.08-2.19, 2 O 2.17-2.26
Hf 0.7403 0.2776 0.0292 x1  3 N 2.09-2.14, 3 O 2.13-2.19
Hf 0.7608 0.7869 0.5318 x1  4 N 2.07-2.17, 2 O 2.24-2.26
Hf 0.7820 0.5370 0.8235 x1  4 N 2.13-2.19, 2 O 2.13-2.21
Hf 0.9599 0.7483 0.2817 x1  5 N 2.12-2.23, 1 O 2.19
N 0.0070 0.5564 0.7633 x1  4 Hf 2.08-2.21
N 0.0181 0.7978 0.0792 x1  4 Hf 2.12-2.19
N 0.2147 0.0133 0.4889 x1  4 Hf 2.05-2.25
N 0.2335 0.5440 0.0716 x1  4 Hf 2.08-2.24
N 0.2681 0.0313 0.0094 x1  4 Hf 2.11-2.21
N 0.2846 0.5588 0.5775 x1  4 Hf 2.09-2.19
N 0.4755 0.7741 0.9913 x1  4 Hf 2.05-2.19
N 0.4796 0.0470 0.8066 x1  4 Hf 2.09-2.17
N 0.5220 0.5124 0.3041 x1  4 Hf 2.07-2.18
N 0.5226 0.3300 0.5695 x1  4 Hf 2.13-2.18
N 0.6985 0.5043 0.0218 x1  4 Hf 2.12-2.22
N 0.7598 0.8286 0.3086 x1  4 Hf 2.08-2.16
N 0.8013 0.0633 0.0523 x1  4 Hf 2.11-2.23
N 0.9725 0.0569 0.7724 x1  4 Hf 2.11-2.21
N 0.9770 0.2391 0.5025 x1  4 Hf 2.13-2.16
N 0.9872 0.7475 0.5463 x1  4 Hf 2.07-2.23
O 0.0174 0.5161 0.2606 x1  4 Hf 2.19-2.25
O 0.2032 0.2512 0.2644 x1  4 Hf 2.13-2.21
O 0.2931 0.3212 0.8062 x1  4 Hf 2.13-2.23
O 0.4959 0.0148 0.3148 x1  4 Hf 2.12-2.30
O 0.5103 0.8217 0.5195 x1  4 Hf 2.11-2.33
O 0.7125 0.2941 0.2713 x1  4 Hf 2.10-2.26
O 0.7342 0.7403 0.7624 x1  4 Hf 2.13-2.24
O 0.7860 0.2770 0.8027 x1  4 Hf 2.12-2.24

Computed properties:
crystal system = triclinic
formation enthalpy at 0 K = -2563 meV per atom
V = 12.6 Å³ per atom
VASP energy = -25.4700 eV per atom